LiZn2Fe4O8, optimized geometry, DFT PBE with a Hubbard U; relative energy among the computed polymorphs = 20 meV per atom; DFT formation energy = -23.9 eV/f.u.; symmetry = No. 12
1.0
5.225 -2.965 0.000
5.225 2.965 0.000
-3.485 0.000 5.203
Li Zn Fe O
1 2 4 8
Direct
0.000 0.000 0.000
0.000 0.500 0.000
0.500 0.000 0.000
0.150 0.150 0.436
0.500 0.500 0.000
0.500 0.500 0.500
0.850 0.850 0.564
0.243 0.745 0.758
0.254 0.254 0.262
0.255 0.757 0.242
0.269 0.269 0.802
0.731 0.731 0.198
0.745 0.243 0.758
0.746 0.746 0.738
0.757 0.255 0.242

***

RbW3O9, optimized geometry, DFT PBE with a Hubbard U; relative energy among the computed polymorphs = 0 meV per atom; DFT formation energy = -29.1 eV/f.u.; symmetry = No. 66
1.0
3.761 -6.543 0.000
3.761 6.543 0.000
0.000 0.000 7.794
Rb W O
2 6 18
Direct
0.000 0.000 0.250
0.000 0.000 0.750
0.000 0.500 0.000
0.000 0.500 0.500
0.500 0.000 0.000
0.500 0.000 0.500
0.500 0.500 0.000
0.500 0.500 0.500
0.000 0.500 0.259
0.000 0.500 0.741
0.210 0.789 0.000
0.211 0.421 0.500
0.211 0.790 0.500
0.215 0.421 0.000
0.421 0.211 0.000
0.421 0.215 0.500
0.500 0.000 0.241
0.500 0.000 0.759
0.500 0.500 0.250
0.500 0.500 0.750
0.579 0.785 0.500
0.579 0.789 0.000
0.785 0.579 0.000
0.789 0.210 0.500
0.789 0.579 0.500
0.790 0.211 0.000

***

Mn3O2F4, optimized geometry, DFT PBE with a Hubbard U; relative energy among the computed polymorphs = 5 meV per atom; DFT formation energy = -22.8 eV/f.u.; symmetry = No. 2
1.0
5.690 0.000 0.000
1.737 5.531 0.000
2.117 1.547 6.949
Mn O F
6 4 8
Direct
0.000 0.000 0.000
0.000 0.000 0.500
0.302 0.320 0.163
0.307 0.368 0.681
0.693 0.632 0.319
0.698 0.680 0.837
0.020 0.671 0.662
0.204 0.232 0.970
0.796 0.768 0.030
0.980 0.329 0.338
0.088 0.104 0.707
0.331 0.704 0.989
0.379 0.938 0.342
0.416 0.424 0.365
0.584 0.576 0.635
0.621 0.062 0.658
0.669 0.296 0.011
0.912 0.896 0.293

***

Li3VO3F, optimized geometry, DFT PBE with a Hubbard U; relative energy among the computed polymorphs = 502 meV per atom; DFT formation energy = -16.9 eV/f.u.; symmetry = No. 1
1.0
7.201 0.000 0.000
-2.401 6.802 0.000
-2.348 -3.431 5.914
Li V O F
12 4 12 4
Direct
0.000 0.000 0.000
0.002 0.237 0.753
0.211 0.209 0.519
0.231 0.982 0.763
0.469 0.233 0.264
0.489 0.717 0.763
0.521 0.506 0.990
0.723 0.703 0.530
0.739 0.499 0.753
0.747 0.253 0.007
0.753 0.994 0.257
0.991 0.495 0.511
0.224 0.744 0.000
0.230 0.462 0.259
0.449 0.967 0.518
0.966 0.741 0.260
0.006 0.497 0.013
0.024 0.754 0.746
0.228 0.206 0.023
0.269 0.756 0.506
0.425 0.931 0.035
0.479 0.209 0.773
0.528 0.497 0.494
0.692 0.722 0.028
0.739 0.482 0.261
0.765 0.259 0.481
0.984 0.254 0.257
0.990 0.009 0.497
0.224 0.483 0.763
0.239 0.981 0.257
0.466 0.727 0.263
0.737 0.995 0.757

***

NaCr2P2O9, optimized geometry, DFT PBE with a Hubbard U; DFT formation energy = -35.3 eV/f.u.; symmetry = No. 62
1.0
13.987 0.000 0.000
0.000 6.402 0.000
0.000 0.000 7.677
Na Cr P O
4 8 8 36
Direct
0.221 0.250 0.145
0.279 0.750 0.645
0.721 0.250 0.355
0.779 0.750 0.855
0.000 0.000 0.000
0.000 0.500 0.000
0.118 0.250 0.653
0.382 0.750 0.153
0.500 0.000 0.500
0.500 0.500 0.500
0.618 0.250 0.847
0.882 0.750 0.347
0.060 0.750 0.651
0.195 0.750 0.101
0.305 0.250 0.601
0.440 0.250 0.151
0.560 0.750 0.849
0.695 0.750 0.399
0.805 0.250 0.899
0.940 0.250 0.349
0.008 0.750 0.835
0.018 0.250 0.488
0.048 0.250 0.855
0.126 0.559 0.644
0.126 0.941 0.644
0.132 0.552 0.089
0.132 0.948 0.089
0.222 0.250 0.465
0.244 0.250 0.772
0.256 0.750 0.272
0.278 0.750 0.965
0.368 0.052 0.589
0.368 0.448 0.589
0.374 0.059 0.144
0.374 0.441 0.144
0.452 0.750 0.355
0.482 0.750 0.988
0.492 0.250 0.335
0.508 0.750 0.665
0.518 0.250 0.012
0.548 0.250 0.645
0.626 0.559 0.856
0.626 0.941 0.856
0.632 0.552 0.411
0.632 0.948 0.411
0.722 0.250 0.035
0.744 0.250 0.728
0.756 0.750 0.228
0.778 0.750 0.535
0.868 0.052 0.911
0.868 0.448 0.911
0.874 0.059 0.356
0.874 0.441 0.356
0.952 0.750 0.145
0.982 0.750 0.512
0.992 0.250 0.165

***

Li2MnF5, optimized geometry, DFT PBE with a Hubbard U; relative energy among the computed polymorphs = 63 meV per atom; DFT formation energy = -23.5 eV/f.u.; symmetry = No. 19
1.0
5.087 0.000 0.000
0.000 8.122 0.000
0.000 0.000 9.686
Li Mn F
8 4 20
Direct
0.021 0.154 0.440
0.040 0.617 0.740
0.460 0.383 0.240
0.479 0.846 0.940
0.521 0.346 0.560
0.540 0.883 0.260
0.960 0.117 0.760
0.979 0.654 0.060
0.032 0.048 0.121
0.468 0.952 0.621
0.532 0.452 0.879
0.968 0.548 0.379
0.118 0.515 0.204
0.138 0.100 0.941
0.202 0.832 0.709
0.234 0.569 0.936
0.249 0.834 0.114
0.251 0.166 0.614
0.266 0.431 0.436
0.298 0.168 0.209
0.362 0.900 0.441
0.382 0.485 0.704
0.618 0.985 0.796
0.638 0.400 0.059
0.702 0.668 0.291
0.734 0.931 0.064
0.749 0.666 0.886
0.751 0.334 0.386
0.766 0.069 0.564
0.798 0.332 0.791
0.862 0.600 0.559
0.882 0.015 0.296

***

In the order shown, the computed M_tot values come out to 19.00; 1.00; 13.00; 1.00; 5.00; 4.00 μB per formula unit.
In the order shown, the computed calculated density values come out to 5.04; 6.76; 4.14; 3.18; 3.22; 2.72 g/cm³.
In the order shown, the computed MP2020-corrected energy values come out to -0.499; -0.642; -0.554; -0.445; -0.584; -0.423 Ry/atom.